Record 1
DFT (PBE with a Hubbard U) results for an optimized crystal structure of Li6VCrP2C2O14.

Computed properties:
- Maximum piezoelectric response: 0.428 C/m²
- Electronic total energy: -177.9 eV for the cell shown

Lattice parameters (Å, degrees): 4.997 6.532 8.564 90.00 94.63 90.00
Atoms (fractional coordinates):
Li: 0.000 0.000 0.000
Li: 0.008 0.279 0.634
Li: 0.008 0.721 0.634
Li: 0.514 0.226 0.184
Li: 0.514 0.774 0.184
Li: 0.520 0.500 0.815
V: 0.554 0.000 0.579
Cr: 0.977 0.500 0.245
P: 0.044 0.000 0.322
P: 0.480 0.500 0.500
C: 0.055 0.500 0.940
C: 0.462 0.000 0.874
O: 0.120 0.500 0.796
O: 0.167 0.500 0.488
O: 0.245 0.500 0.055
O: 0.268 0.000 0.763
O: 0.357 0.000 0.338
O: 0.407 0.000 0.020
O: 0.572 0.500 0.331
O: 0.591 0.316 0.599
O: 0.591 0.684 0.599
O: 0.707 0.000 0.834
O: 0.808 0.500 0.974
O: 0.936 0.186 0.220
O: 0.936 0.814 0.220
O: 0.942 0.000 0.487


Record 2
DFT (PBE with a Hubbard U) results for an optimized crystal structure of LiV2F7.

Computed properties:
- Excess energy over the best structure of this formula in the dataset: 0.0729 eV per atom
- Electronic total energy: -116.3 eV for the cell shown

Lattice parameters (Å, degrees): 4.914 4.914 10.649 97.32 97.32 82.69
Atoms (fractional coordinates):
Li: 0.190 0.810 0.500
Li: 0.810 0.190 0.000
V: 0.175 0.181 0.265
V: 0.181 0.175 0.765
V: 0.718 0.736 0.264
V: 0.736 0.718 0.764
F: 0.018 0.941 0.876
F: 0.022 0.514 0.383
F: 0.398 0.901 0.151
F: 0.417 0.489 0.766
F: 0.446 0.941 0.647
F: 0.449 0.946 0.384
F: 0.489 0.417 0.266
F: 0.514 0.022 0.883
F: 0.889 0.962 0.151
F: 0.901 0.398 0.651
F: 0.941 0.018 0.376
F: 0.941 0.446 0.147
F: 0.946 0.449 0.884
F: 0.962 0.889 0.651


Record 3
DFT (PBE with a Hubbard U) results for an optimized crystal structure of NaSrTbMnO6.

Computed properties:
- Electronic total energy: -64.5 eV for the cell shown

Lattice parameters (Å, degrees): 5.816 5.816 5.816 60.00 60.00 60.00
Atoms (fractional coordinates):
Na: 0.000 0.000 0.000
Sr: 0.500 0.500 0.500
Tb: 0.750 0.750 0.750
Mn: 0.250 0.250 0.250
O: 0.019 0.019 0.481
O: 0.019 0.481 0.019
O: 0.019 0.481 0.481
O: 0.481 0.019 0.019
O: 0.481 0.019 0.481
O: 0.481 0.481 0.019


Record 4
DFT (PBE with a Hubbard U) results for an optimized crystal structure of MgFe3O3F3.

Computed properties:
- Excess energy over the best structure of this formula in the dataset: 0.0076 eV per atom
- Electronic total energy: -60.0 eV for the cell shown

Lattice parameters (Å, degrees): 5.332 5.333 5.636 61.86 61.94 60.01
Atoms (fractional coordinates):
Mg: 0.000 0.000 0.000
Fe: 0.190 0.190 0.430
Fe: 0.481 0.480 0.558
Fe: 0.727 0.727 0.819
O: 0.120 0.387 0.718
O: 0.387 0.775 0.717
O: 0.774 0.120 0.719
F: 0.274 0.884 0.226
F: 0.617 0.275 0.225
F: 0.886 0.616 0.225


Record 5
DFT (PBE with a Hubbard U) results for an optimized crystal structure of CaZrNbFeO7.

Computed properties:
- Excess energy over the best structure of this formula in the dataset: 0.0084 eV per atom
- Electronic total energy: -361.2 eV for the cell shown

Lattice parameters (Å, degrees): 7.475 7.475 11.598 99.33 99.33 59.86
Atoms (fractional coordinates):
Ca: 0.123 0.877 0.500
Ca: 0.127 0.373 0.514
Ca: 0.373 0.127 0.014
Ca: 0.877 0.123 0.000
Zr: 0.366 0.624 0.040
Zr: 0.603 0.892 0.490
Zr: 0.624 0.366 0.540
Zr: 0.892 0.603 0.990
Nb: 0.498 0.748 0.766
Nb: 0.748 0.498 0.266
Nb: 0.768 0.990 0.252
Nb: 0.990 0.768 0.752
Fe: 0.087 0.238 0.756
Fe: 0.238 0.087 0.256
Fe: 0.258 0.488 0.272
Fe: 0.488 0.258 0.772
O: 0.020 0.291 0.913
O: 0.040 0.782 0.295
O: 0.059 0.390 0.298
O: 0.086 0.741 0.928
O: 0.167 0.503 0.092
O: 0.173 0.442 0.730
O: 0.185 0.848 0.724
O: 0.229 0.957 0.105
O: 0.291 0.020 0.413
O: 0.336 0.503 0.447
O: 0.390 0.059 0.798
O: 0.442 0.173 0.230
O: 0.459 0.554 0.219
O: 0.490 0.735 0.929
O: 0.503 0.167 0.592
O: 0.503 0.336 0.947
O: 0.508 0.755 0.594
O: 0.554 0.459 0.719
O: 0.674 0.792 0.307
O: 0.735 0.490 0.429
O: 0.741 0.086 0.428
O: 0.747 0.907 0.080
O: 0.755 0.508 0.094
O: 0.782 0.040 0.795
O: 0.792 0.674 0.807
O: 0.848 0.185 0.224
O: 0.907 0.747 0.580
O: 0.957 0.229 0.605


Record 6
DFT (PBE with a Hubbard U) results for an optimized crystal structure of KCaCeFeO6.

Computed properties:
- Electronic total energy: -64.9 eV for the cell shown

Lattice parameters (Å, degrees): 5.788 5.788 5.788 60.00 60.00 60.00
Atoms (fractional coordinates):
K: 0.000 0.000 0.000
Ca: 0.500 0.500 0.500
Ce: 0.250 0.250 0.250
Fe: 0.750 0.750 0.750
O: 0.517 0.517 0.983
O: 0.517 0.983 0.517
O: 0.517 0.983 0.983
O: 0.983 0.517 0.517
O: 0.983 0.517 0.983
O: 0.983 0.983 0.517


- Which value of electronic total energy does entry 5 give?
  -361.2 eV for the cell shown